Run A
VASP calculation (r2SCAN) on a relaxed LiCo2O4 crystal.

Lattice parameters (Å, degrees): 11.2023 11.2057 7.9237 90.00 90.01 90.00
With the nearest neighbours (Å) after each atom.
Space group C2 (No. 5)
One atom of each set of equivalent atoms:
Li 0.1249 0.0000 0.1246  4 O 1.89-1.90
Li 0.1251 0.2490 0.3758  4 O 1.89-1.90
Li 0.1257 0.4993 0.1261  4 O 1.89-1.90
Li 0.1257 0.7494 0.3751  4 O 1.89-1.90
Co 0.0000 0.2496 0.0000  6 O 1.88
Co 0.0000 0.4993 0.5000  6 O 1.88-1.89
Co 0.0000 0.7492 0.0000  6 O 1.88
Co 0.0000 0.9994 0.5000  6 O 1.88
Co 0.1248 0.1246 0.7504  6 O 1.88
Co 0.1249 0.3745 0.7507  6 O 1.88
Co 0.1248 0.6243 0.7496  6 O 1.88
Co 0.1246 0.8743 0.7501  6 O 1.88
Co 0.2500 0.2494 0.0004  6 O 1.88
Co 0.2502 0.4994 0.4998  6 O 1.88-1.89
O 0.0129 0.9996 0.7371  3 Co 1.88, 1 Li 1.89
O 0.0129 0.2496 0.7635  3 Co 1.88, 1 Li 1.90
O 0.0129 0.4993 0.7374  3 Co 1.88-1.89, 1 Li 1.89
O 0.0127 0.7493 0.7633  3 Co 1.88, 1 Li 1.90
O 0.1248 0.1113 0.5136  3 Co 1.88, 1 Li 1.89
O 0.1250 0.1378 0.9872  3 Co 1.88, 1 Li 1.89
O 0.1251 0.3614 0.9876  3 Co 1.88, 1 Li 1.90
O 0.1250 0.3874 0.5138  3 Co 1.88-1.89, 1 Li 1.90
O 0.1252 0.6112 0.5127  3 Co 1.88, 1 Li 1.89
O 0.1249 0.6374 0.9864  3 Co 1.88, 1 Li 1.90
O 0.1247 0.8614 0.9869  3 Co 1.88, 1 Li 1.90
O 0.1248 0.8875 0.5133  3 Co 1.88, 1 Li 1.90
O 0.2364 0.9994 0.7370  3 Co 1.88, 1 Li 1.89
O 0.2369 0.2494 0.7637  3 Co 1.88, 1 Li 1.89
O 0.2370 0.4995 0.7367  3 Co 1.88, 1 Li 1.90
O 0.2366 0.7494 0.7625  3 Co 1.88, 1 Li 1.90

- crystal system = monoclinic
- V (Å³/atom) = 8.9

***

Run B
VASP calculation (r2SCAN) on a relaxed LiCo2O4 crystal.

Lattice parameters (Å, degrees): 5.5875 4.8010 9.8595 90.00 90.00 90.00
With the nearest neighbours (Å) after each atom.
Space group Pbcn (No. 60)
One atom of each set of equivalent atoms:
Li 0.0000 0.1550 0.2500  4 O 2.00-2.03
Co 0.1252 0.2535 0.5041  6 O 1.87-1.89
O 0.1229 0.4083 0.1006  3 Co 1.87-1.88, 1 Li 2.03
O 0.1258 0.0770 0.9033  3 Co 1.87-1.89, 1 Li 2.00

- crystal system = orthorhombic
- V (Å³/atom) = 9.4

***

Relative energy of each structure, in meV/atom: run A 0; run B 41.

***

Run A
VASP calculation (r2SCAN) on a relaxed Na2Co2O3 crystal.

Lattice parameters (Å, degrees): 5.7858 5.6759 6.0348 90.00 118.91 90.00
With the nearest neighbours (Å) after each atom.
Space group P2_1/c (No. 14)
One atom of each set of equivalent atoms:
Na 0.1348 0.1541 0.3973  4 O 2.31-2.51
Co 0.3427 0.6296 0.5871  4 O 1.93-2.04
O 0.0000 0.0000 0.0000  2 Co 1.93
O 0.3462 0.5785 0.2535  3 Co 1.93-2.04

- crystal system = monoclinic
- V (Å³/atom) = 12.4

***

Run B
VASP calculation (r2SCAN) on a relaxed Na2Co2O3 crystal.

Lattice parameters (Å, degrees): 5.5136 8.2365 8.2365 83.09 71.74 71.75
With the nearest neighbours (Å) after each atom.
Space group P-1 (No. 2)
One atom of each set of equivalent atoms:
Na 0.0903 0.0054 0.3198  4 O 2.28-2.41
Na 0.2489 0.2878 0.2132  6 O 2.39-2.54
Na 0.2509 0.5714 0.9279  6 O 2.36-2.45
Na 0.4099 0.1803 0.4945  4 O 2.28-2.41
Co 0.1963 0.6455 0.2818  4 O 1.93-2.01
Co 0.2477 0.5497 0.5880  4 O 1.96-2.06
Co 0.2528 0.9119 0.9500  4 O 1.96-2.06
Co 0.3035 0.2181 0.8547  4 O 1.93-2.01
O 0.0512 0.7648 0.4954  2 Co 1.93-1.97
O 0.0584 0.1444 0.0675  3 Co 1.96-2.06
O 0.0609 0.4342 0.7865  3 Co 1.96-2.00
O 0.4394 0.7134 0.0656  3 Co 1.96-2.00
O 0.4414 0.4325 0.3555  3 Co 1.96-2.06
O 0.4490 0.0046 0.7351  2 Co 1.93-1.97

- crystal system = triclinic
- V (Å³/atom) = 12.0

***

Relative energy of each structure, in meV/atom: run A 6; run B 0.

***

Run A
VASP calculation (r2SCAN) on a relaxed Co2P2O7 crystal.

Lattice parameters (Å, degrees): 5.2509 5.2852 8.9483 97.94 98.12 103.85
With the nearest neighbours (Å) after each atom.
Space group P1 (No. 1)
One atom of each set of equivalent atoms:
Co 0.0000 0.0000 0.0000  6 O 2.02-2.26
Co 0.0062 0.0051 0.4958  5 O 2.03-2.19
Co 0.6183 0.3754 0.9927  6 O 2.03-2.27
Co 0.6264 0.3847 0.4954  5 O 2.03-2.20
P 0.0884 0.4723 0.7930  4 O 1.52-1.57
P 0.0915 0.4698 0.2931  4 O 1.52-1.57
P 0.5274 0.9059 0.7003  4 O 1.52-1.56
P 0.5304 0.9033 0.1999  4 O 1.52-1.57
O 0.2344 0.3058 0.3845  1 P 1.52
O 0.2348 0.3161 0.8889  1 P 1.52
O 0.3069 0.6926 0.7484  2 P 1.56-1.57
O 0.3145 0.6853 0.2483  2 P 1.57
O 0.3826 0.0579 0.1035  1 P 1.52
O 0.3852 0.0699 0.6087  1 P 1.52
O 0.6856 0.7618 0.6056  1 P 1.52
O 0.6886 0.0687 0.3521  1 P 1.52
O 0.6917 0.0641 0.8528  1 P 1.52
O 0.6960 0.7624 0.1095  1 P 1.52
O 0.9210 0.6121 0.8827  1 P 1.52
O 0.9293 0.3138 0.1395  1 P 1.52
O 0.9333 0.6146 0.3876  1 P 1.52
O 0.9341 0.3109 0.6389  1 P 1.52

- crystal system = triclinic
- V (Å³/atom) = 10.7

***

Run B
VASP calculation (r2SCAN) on a relaxed Co2P2O7 crystal.

Lattice parameters (Å, degrees): 4.4680 9.8299 5.3740 90.00 97.47 90.00
With the nearest neighbours (Å) after each atom.
Space group P2_1/c (No. 14)
One atom of each set of equivalent atoms:
Co 0.1153 0.1579 0.4121  5 O 2.00-2.18
P 0.3517 0.6110 0.6527  4 O 1.52-1.56
O 0.1179 0.6825 0.4673  1 P 1.52
O 0.2059 0.5386 0.8567  1 P 1.52
O 0.3897 0.2030 0.7396  1 P 1.52
O 0.5000 0.0000 0.0000  2 P 1.56

- crystal system = monoclinic
- V (Å³/atom) = 10.6

***

Relative energy of each structure, in meV/atom: run A 8; run B 0.